Below is NaTiF4 after structural relaxation, with properties calculated at the meta-GGA r2SCAN level.

CIF file:
```
data_NaTiF4
_space_group_name_H-M_alt 'P 1 21/c 1'
_space_group_IT_number 14
_space_group_name_Hall '-P 2ybc'
_cell_length_a 8.029
_cell_length_b 5.294
_cell_length_c 7.609
_cell_angle_alpha 90.00
_cell_angle_beta 100.55
_cell_angle_gamma 90.00
loop_
_atom_site_label
_atom_site_fract_x
_atom_site_fract_y
_atom_site_fract_z
Na1 0.129 0.214 0.388
Ti1 0.324 0.739 0.197
F1 0.121 0.528 0.187
F2 0.187 0.018 0.117
F3 0.322 0.625 0.946
F4 0.461 0.052 0.795
```

***

Below is Sb2IF15 after structural relaxation, with properties calculated at the meta-GGA r2SCAN level.

CIF file:
```
data_Sb2IF15
_space_group_name_H-M_alt 'P 1 21/c 1'
_space_group_IT_number 14
_space_group_name_Hall '-P 2ybc'
_cell_length_a 8.366
_cell_length_b 14.388
_cell_length_c 9.879
_cell_angle_alpha 90.00
_cell_angle_beta 113.22
_cell_angle_gamma 90.00
loop_
_atom_site_label
_atom_site_fract_x
_atom_site_fract_y
_atom_site_fract_z
Sb1 0.104 0.246 0.111
Sb2 0.203 0.546 0.355
I1 0.311 0.611 0.807
F1 0.005 0.636 0.327
F2 0.032 0.045 0.835
F3 0.054 0.717 0.582
F4 0.089 0.687 0.878
F5 0.138 0.555 0.152
F6 0.194 0.150 0.554
F7 0.225 0.236 0.812
F8 0.238 0.549 0.560
F9 0.262 0.512 0.908
F10 0.264 0.158 0.102
F11 0.341 0.652 0.390
F12 0.375 0.043 0.886
F13 0.434 0.658 0.990
F14 0.434 0.700 0.746
F15 0.490 0.536 0.820
```

***

Below is Er2Pd2Pb after structural relaxation, with properties calculated at the meta-GGA r2SCAN level.

CIF file:
```
data_Er2Pd2Pb
_space_group_name_H-M_alt 'P 4/m b m'
_space_group_IT_number 127
_space_group_name_Hall '-P 4 2ab'
_cell_length_a 7.786
_cell_length_b 7.786
_cell_length_c 3.592
_cell_angle_alpha 90.00
_cell_angle_beta 90.00
_cell_angle_gamma 90.00
loop_
_atom_site_label
_atom_site_fract_x
_atom_site_fract_y
_atom_site_fract_z
Er1 0.171 0.329 0.000
Pd1 0.126 0.626 0.500
Pb1 0.000 0.000 0.500
```

***

Below is Y2S3O12 after structural relaxation, with properties calculated at the meta-GGA r2SCAN level.

CIF file:
```
data_Y2S3O12
_space_group_name_H-M_alt 'P b c n'
_space_group_IT_number 60
_space_group_name_Hall '-P 2n 2ab'
_cell_length_a 12.793
_cell_length_b 9.224
_cell_length_c 9.300
_cell_angle_alpha 90.00
_cell_angle_beta 90.00
_cell_angle_gamma 90.00
loop_
_atom_site_label
_atom_site_fract_x
_atom_site_fract_y
_atom_site_fract_z
Y1 0.118 0.249 0.036
S1 0.000 0.034 0.750
S2 0.145 0.394 0.388
O1 0.041 0.338 0.421
O2 0.060 0.126 0.849
O3 0.073 0.057 0.169
O4 0.147 0.449 0.906
O5 0.173 0.358 0.239
O6 0.221 0.327 0.486
```

***

Below is TbZnPd after structural relaxation, with properties calculated at the meta-GGA r2SCAN level.

CIF file:
```
data_TbZnPd
_space_group_name_H-M_alt 'P -6 2 m'
_space_group_IT_number 189
_space_group_name_Hall 'P -6 -2'
_cell_length_a 7.2532
_cell_length_b 7.2532
_cell_length_c 3.8598
_cell_angle_alpha 90.00
_cell_angle_beta 90.00
_cell_angle_gamma 120.00
loop_
_atom_site_label
_atom_site_fract_x
_atom_site_fract_y
_atom_site_fract_z
Tb1 0.0000 0.4044 0.0000
Zn1 0.0000 0.7509 0.5000
Pd1 0.0000 0.0000 0.0000
Pd2 0.3333 0.6667 0.5000
```

***

Below is HfTaTc2 after structural relaxation, with properties calculated at the meta-GGA r2SCAN level.

CIF file:
```
data_HfTaTc2
_space_group_name_H-M_alt 'F m -3 m'
_space_group_IT_number 225
_space_group_name_Hall '-F 4 2 3'
_cell_length_a 6.413
_cell_length_b 6.413
_cell_length_c 6.413
_cell_angle_alpha 90.00
_cell_angle_beta 90.00
_cell_angle_gamma 90.00
loop_
_atom_site_label
_atom_site_fract_x
_atom_site_fract_y
_atom_site_fract_z
Hf1 0.000 0.000 0.000
Ta1 0.000 0.000 0.500
Tc1 0.250 0.250 0.250
```

***

Number 1: calculated density 3.07 g/cm3, energy of formation from the pure elements -3.43 eV per atom. Number 2: calculated density 3.98 g/cm3, energy of formation from the pure elements -2.16 eV per atom. Number 3: calculated density 11.51 g/cm3, energy of formation from the pure elements -0.92 eV per atom. Number 4: calculated density 2.82 g/cm3, energy of formation from the pure elements -2.35 eV per atom. Number 5: calculated density 9.37 g/cm3, energy of formation from the pure elements -0.77 eV per atom. Number 6: calculated density 13.99 g/cm3, energy of formation from the pure elements -0.56 eV per atom.